(1)
The following is a PBE calculation of Fe2N after structural relaxation, from the Materials Project database.

The calculation puts the calculated formation energy at -154 meV per atom. The calculation puts the magnetic moment at 3.00 μB per formula unit. The total energy is -101.5 eV/cell. The calculation puts the calculated density at 7.4 Mg/m³. For the volume, the calculation gives 28.21 Å³/f.u. As for the symmetry: Pbcn (60).

Unit cell a=4.3474 b=4.7463 c=5.4684 alpha=90.00 beta=90.00 gamma=90.00
Fractional coordinates of all 12 atoms:
Fe 0.7492 0.9153 0.1266
Fe 0.2492 0.5847 0.6266
Fe 0.7508 0.9153 0.6266
Fe 0.2508 0.0847 0.8734
Fe 0.2508 0.5847 0.1266
Fe 0.2492 0.0847 0.3734
Fe 0.7492 0.4153 0.8734
Fe 0.7508 0.4153 0.3734
N 0.0000 0.2500 0.6349
N 0.5000 0.7500 0.8651
N 0.5000 0.2500 0.1349
N 0.0000 0.7500 0.3651

***

(2)
The following is a PBE calculation of FeN after structural relaxation, from the Materials Project database.

The calculation puts the calculated formation energy at -315 meV per atom. The total energy is -17.1 eV/cell. The calculation puts the calculated density at 6.1 Mg/m³. For the volume, the calculation gives 18.93 Å³/f.u. As for the symmetry: F-43m (216).

Unit cell a=2.9915 b=2.9915 c=2.9915 alpha=60.00 beta=60.00 gamma=60.00
Fractional coordinates of all 2 atoms:
Fe 0.0000 0.0000 0.0000
N 0.2500 0.2500 0.2500

***

Repeat the first record exactly.
The following is a PBE calculation of Fe2N after structural relaxation, from the Materials Project database.

The calculation puts the calculated formation energy at -154 meV per atom. The calculation puts the magnetic moment at 3.00 μB per formula unit. The total energy is -101.5 eV/cell. The calculation puts the calculated density at 7.4 Mg/m³. For the volume, the calculation gives 28.21 Å³/f.u. As for the symmetry: Pbcn (60).

Unit cell a=4.3474 b=4.7463 c=5.4684 alpha=90.00 beta=90.00 gamma=90.00
Fractional coordinates of all 12 atoms:
Fe 0.7492 0.9153 0.1266
Fe 0.2492 0.5847 0.6266
Fe 0.7508 0.9153 0.6266
Fe 0.2508 0.0847 0.8734
Fe 0.2508 0.5847 0.1266
Fe 0.2492 0.0847 0.3734
Fe 0.7492 0.4153 0.8734
Fe 0.7508 0.4153 0.3734
N 0.0000 0.2500 0.6349
N 0.5000 0.7500 0.8651
N 0.5000 0.2500 0.1349
N 0.0000 0.7500 0.3651